# 1
The following is a PBE calculation of a relaxed structure of LiGa5O8, from the Materials Project database.

a b c (Å): 8.3225 8.3225 8.3225
angles (deg): 90.00 90.00 90.00
Atoms (fractional coordinates):
Li  0.1250  0.1250  0.1250
Li  0.3750  0.8750  0.6250
Li  0.6250  0.3750  0.8750
Li  0.8750  0.6250  0.3750
Ga  0.0032  0.5032  0.9968
Ga  0.1159  0.3750  0.3659
Ga  0.1250  0.6341  0.6159
Ga  0.1341  0.8841  0.8750
Ga  0.2468  0.2532  0.7468
Ga  0.2532  0.7468  0.2468
Ga  0.3659  0.1159  0.3750
Ga  0.3750  0.3659  0.1159
Ga  0.3841  0.6250  0.8659
Ga  0.4968  0.4968  0.4968
Ga  0.5032  0.9968  0.0032
Ga  0.6159  0.1250  0.6341
Ga  0.6250  0.8659  0.3841
Ga  0.6341  0.6159  0.1250
Ga  0.7468  0.2468  0.2532
Ga  0.7532  0.7532  0.7532
Ga  0.8659  0.3841  0.6250
Ga  0.8750  0.1341  0.8841
Ga  0.8841  0.8750  0.1341
Ga  0.9968  0.0032  0.5032
O  0.1133  0.3867  0.6133
O  0.1158  0.1183  0.8727
O  0.1183  0.8727  0.1158
O  0.1227  0.8683  0.6342
O  0.1273  0.6158  0.3817
O  0.1317  0.1342  0.3773
O  0.1342  0.3773  0.1317
O  0.1367  0.6367  0.8633
O  0.3633  0.3633  0.3633
O  0.3658  0.6227  0.6317
O  0.3683  0.8658  0.8773
O  0.3727  0.3842  0.8817
O  0.3773  0.1317  0.1342
O  0.3817  0.1273  0.6158
O  0.3842  0.8817  0.3727
O  0.3867  0.6133  0.1133
O  0.6133  0.1133  0.3867
O  0.6158  0.3817  0.1273
O  0.6183  0.6273  0.8842
O  0.6227  0.6317  0.3658
O  0.6273  0.8842  0.6183
O  0.6317  0.3658  0.6227
O  0.6342  0.1227  0.8683
O  0.6367  0.8633  0.1367
O  0.8633  0.1367  0.6367
O  0.8658  0.8773  0.3683
O  0.8683  0.6342  0.1227
O  0.8727  0.1158  0.1183
O  0.8773  0.3683  0.8658
O  0.8817  0.3727  0.3842
O  0.8842  0.6183  0.6273
O  0.8867  0.8867  0.8867

Properties
Piezoelectric modulus e_max ... 0.00 C/m2
Energy relative to the elements ... -2.31 eV/atom
Space-group type ... P4_332
Calculated total energy ... -5.97 eV per atom


# 2
The following is a PBE calculation of a relaxed structure of K3SiF7, from the Materials Project database.

a b c (Å): 7.8325 7.8325 5.6287
angles (deg): 90.00 90.00 90.00
Atoms (fractional coordinates):
K  0.0000  0.0000  0.0000
K  0.1949  0.3051  0.5000
K  0.3051  0.8051  0.5000
K  0.5000  0.5000  0.0000
K  0.6949  0.1949  0.5000
K  0.8051  0.6949  0.5000
Si  0.0000  0.5000  0.0000
Si  0.5000  0.0000  0.0000
F  0.0000  0.0000  0.5000
F  0.1086  0.6086  0.2180
F  0.1086  0.6086  0.7820
F  0.1549  0.3451  0.0000
F  0.3451  0.8451  0.0000
F  0.3914  0.1086  0.2180
F  0.3914  0.1086  0.7820
F  0.5000  0.5000  0.5000
F  0.6086  0.8914  0.2180
F  0.6086  0.8914  0.7820
F  0.6549  0.1549  0.0000
F  0.8451  0.6549  0.0000
F  0.8914  0.3914  0.2180
F  0.8914  0.3914  0.7820

Properties
Energy relative to the elements ... -3.33 eV/atom
Space-group type ... P4/mbm
Calculated total energy ... -5.05 eV per atom


# 3
The following is a PBE calculation of a relaxed structure of TbAu6, from the Materials Project database.

a b c (Å): 10.5344 10.5344 9.9140
angles (deg): 90.00 90.00 90.00
Atoms (fractional coordinates):
Tb  0.0757  0.0757  0.2122
Tb  0.0757  0.4243  0.7122
Tb  0.4243  0.0757  0.7122
Tb  0.4243  0.4243  0.2122
Tb  0.5757  0.5757  0.7878
Tb  0.5757  0.9243  0.2878
Tb  0.9243  0.5757  0.2878
Tb  0.9243  0.9243  0.7878
Au  0.0000  0.0000  0.5000
Au  0.0000  0.5000  0.0000
Au  0.0129  0.6803  0.5795
Au  0.0129  0.8197  0.0795
Au  0.1232  0.7002  0.8555
Au  0.1232  0.7998  0.3555
Au  0.1467  0.1467  0.6792
Au  0.1467  0.3533  0.1792
Au  0.1803  0.5129  0.4205
Au  0.1803  0.9871  0.9205
Au  0.2002  0.6232  0.1445
Au  0.2002  0.8768  0.6445
Au  0.2500  0.2500  0.4328
Au  0.2500  0.2500  0.9328
Au  0.2998  0.6232  0.6445
Au  0.2998  0.8768  0.1445
Au  0.3197  0.5129  0.9205
Au  0.3197  0.9871  0.4205
Au  0.3533  0.1467  0.1792
Au  0.3533  0.3533  0.6792
Au  0.3768  0.7002  0.3555
Au  0.3768  0.7998  0.8555
Au  0.4871  0.6803  0.0795
Au  0.4871  0.8197  0.5795
Au  0.5000  0.0000  0.0000
Au  0.5000  0.5000  0.5000
Au  0.5129  0.1803  0.4205
Au  0.5129  0.3197  0.9205
Au  0.6232  0.2002  0.1445
Au  0.6232  0.2998  0.6445
Au  0.6467  0.6467  0.3208
Au  0.6467  0.8533  0.8208
Au  0.6803  0.0129  0.5795
Au  0.6803  0.4871  0.0795
Au  0.7002  0.1232  0.8555
Au  0.7002  0.3768  0.3555
Au  0.7500  0.7500  0.0672
Au  0.7500  0.7500  0.5672
Au  0.7998  0.1232  0.3555
Au  0.7998  0.3768  0.8555
Au  0.8197  0.0129  0.0795
Au  0.8197  0.4871  0.5795
Au  0.8533  0.6467  0.8208
Au  0.8533  0.8533  0.3208
Au  0.8768  0.2002  0.6445
Au  0.8768  0.2998  0.1445
Au  0.9871  0.1803  0.9205
Au  0.9871  0.3197  0.4205

Properties
Energy relative to the elements ... -0.41 eV/atom
Space-group type ... P4_2/ncm
Calculated total energy ... -3.88 eV per atom